# LiCuP2O7

A relaxed LiCuP2O7 crystal (GGA-PBE, the Materials Project).

a b c (Å): 13.349 4.913 9.391
angles (deg): 61.37 90.00 90.00
Element x y z (fractional)
Cu: 0.349 0.934 0.761
Cu: 0.651 0.066 0.239
Cu: 0.151 0.934 0.261
Cu: 0.849 0.066 0.739
Li: 0.129 0.970 0.861
Li: 0.871 0.030 0.139
Li: 0.629 0.030 0.639
Li: 0.371 0.970 0.361
P: 0.169 0.254 0.469
P: 0.669 0.746 0.031
P: 0.474 0.484 0.723
P: 0.526 0.516 0.277
P: 0.026 0.484 0.223
P: 0.331 0.254 0.969
P: 0.974 0.516 0.777
P: 0.831 0.746 0.531
O: 0.449 0.315 0.918
O: 0.458 0.227 0.672
O: 0.784 0.846 0.651
O: 0.578 0.609 0.697
O: 0.715 0.426 0.072
O: 0.611 0.266 0.358
O: 0.284 0.154 0.849
O: 0.322 0.022 0.145
O: 0.389 0.734 0.642
O: 0.949 0.685 0.582
O: 0.042 0.227 0.172
O: 0.922 0.609 0.197
O: 0.785 0.426 0.572
O: 0.422 0.391 0.303
O: 0.285 0.574 0.928
O: 0.889 0.266 0.858
O: 0.542 0.773 0.328
O: 0.958 0.773 0.828
O: 0.822 0.978 0.355
O: 0.078 0.391 0.803
O: 0.551 0.685 0.082
O: 0.216 0.154 0.349
O: 0.178 0.022 0.645
O: 0.051 0.315 0.418
O: 0.716 0.846 0.151
O: 0.678 0.978 0.855
O: 0.111 0.734 0.142
O: 0.215 0.574 0.428

Space-group type ... No. 14
Formation energy from the elements ... -2.211 eV/atom
ρ ... 3.00 g cm⁻³

***

# Pb7Br2O8

A relaxed Pb7Br2O8 crystal (GGA-PBE, the Materials Project).

a b c (Å): 5.994 7.331 20.019
angles (deg): 90.00 90.00 114.66
Element x y z (fractional)
O: 0.497 0.792 0.578
O: 0.747 0.003 0.197
O: 0.022 0.305 0.935
O: 0.253 0.997 0.697
O: 0.978 0.695 0.435
O: 0.290 0.460 0.164
O: 0.463 0.699 0.436
O: 0.503 0.208 0.078
O: 0.228 0.765 0.285
O: 0.977 0.203 0.076
O: 0.537 0.301 0.936
O: 0.772 0.235 0.785
O: 0.355 0.383 0.803
O: 0.645 0.617 0.303
O: 0.710 0.540 0.664
O: 0.023 0.797 0.576
Pb: 0.137 0.050 0.157
Pb: 0.179 0.657 0.663
Pb: 0.818 0.877 0.371
Pb: 0.518 0.286 0.725
Pb: 0.639 0.550 0.532
Pb: 0.821 0.343 0.163
Pb: 0.299 0.853 0.498
Pb: 0.863 0.950 0.657
Pb: 0.132 0.523 0.363
Pb: 0.182 0.123 0.871
Pb: 0.701 0.147 0.998
Pb: 0.868 0.477 0.863
Pb: 0.361 0.450 0.032
Pb: 0.482 0.714 0.225
Br: 0.976 0.711 0.058
Br: 0.531 0.817 0.920
Br: 0.024 0.289 0.558
Br: 0.469 0.183 0.420

Space-group type ... No. 4
Formation energy from the elements ... -1.235 eV/atom
ρ ... 7.22 g cm⁻³

***

# AgPbO2

A relaxed AgPbO2 crystal (GGA-PBE, the Materials Project).

a b c (Å): 3.572 6.478 6.844
angles (deg): 69.43 90.00 90.00
Element x y z (fractional)
Pb: 0.000 0.000 0.000
Pb: 0.500 0.500 0.000
O: 0.000 0.581 0.175
O: 0.500 0.145 0.175
O: 0.500 0.855 0.825
O: 0.000 0.419 0.825
Ag: 0.000 0.500 0.500
Ag: 0.500 0.000 0.500

Space-group type ... No. 10
Formation energy from the elements ... -0.986 eV/atom
ρ ... 7.77 g cm⁻³

***

# CrBiN2

A relaxed CrBiN2 crystal (GGA-PBE, the Materials Project).

a b c (Å): 3.660 3.660 10.101
angles (deg): 90.00 90.00 90.00
Element x y z (fractional)
Bi: 0.750 0.750 0.101
Bi: 0.250 0.250 0.899
N: 0.250 0.750 0.500
N: 0.750 0.750 0.720
N: 0.750 0.250 0.500
N: 0.250 0.250 0.280
Cr: 0.750 0.750 0.563
Cr: 0.250 0.250 0.437

Space-group type ... No. 129
Formation energy from the elements ... -0.017 eV/atom
ρ ... 7.09 g cm⁻³